1.
An optimized crystal structure of Nd3Pu. Source: the Materials Project database, functional PBE-GGA.

Properties
ΔE_f = 0.55 eV/f.u.
ρ = 9.26 Mg/m³
uncorrected energy = -7.004 eV/atom

CIF file:
```
data_Nd3Pu
_symmetry_space_group_name_H-M 'P -6 m 2'
_symmetry_Int_Tables_number 187
_symmetry_space_group_name_Hall 'P -6 2'
_cell_length_a 3.4638
_cell_length_b 3.4638
_cell_length_c 11.6754
_cell_angle_alpha 90.00
_cell_angle_beta 90.00
_cell_angle_gamma 120.00
loop_
_atom_site_label
_atom_site_fract_x
_atom_site_fract_y
_atom_site_fract_z
Nd1 0.0000 0.0000 0.0000
Nd2 0.6667 0.3333 0.2639
Pu1 0.3333 0.6667 0.5000
```

2.
An optimized crystal structure of Rb4MgCuSi2O7. Source: the Materials Project database, functional PBE-GGA.

Properties
ΔE_f = -33.92 eV/f.u.
ρ = 3.34 Mg/m³
uncorrected energy = -5.615 eV/atom

CIF file:
```
data_Rb4MgCuSi2O7
_symmetry_space_group_name_H-M 'P 1'
_symmetry_Int_Tables_number 1
_symmetry_space_group_name_Hall 'P 1'
_cell_length_a 6.199
_cell_length_b 7.246
_cell_length_c 7.687
_cell_angle_alpha 67.71
_cell_angle_beta 69.71
_cell_angle_gamma 75.73
loop_
_atom_site_label
_atom_site_fract_x
_atom_site_fract_y
_atom_site_fract_z
Rb1 0.000 0.000 0.000
Rb2 0.145 0.592 0.805
Rb3 0.294 0.084 0.387
Rb4 0.682 0.347 0.676
Mg1 0.714 0.425 0.230
Cu1 0.524 0.686 0.934
Si1 0.129 0.573 0.363
Si2 0.791 0.920 0.544
O1 0.012 0.795 0.406
O2 0.149 0.395 0.564
O3 0.401 0.605 0.213
O4 0.569 0.787 0.659
O5 0.728 0.136 0.381
O6 0.886 0.952 0.702
O7 0.965 0.536 0.252
```

3.
An optimized crystal structure of Nd4Zn3Au5. Source: the Materials Project database, functional PBE-GGA.

Properties
ΔE_f = -8.27 eV/f.u.
ρ = 10.78 Mg/m³
uncorrected energy = -3.957 eV/atom

CIF file:
```
data_Nd4Zn3Au5
_symmetry_space_group_name_H-M 'P 1 m 1'
_symmetry_Int_Tables_number 6
_symmetry_space_group_name_Hall 'P -2y'
_cell_length_a 7.202
_cell_length_b 4.649
_cell_length_c 8.089
_cell_angle_alpha 90.00
_cell_angle_beta 90.26
_cell_angle_gamma 90.00
loop_
_atom_site_label
_atom_site_fract_x
_atom_site_fract_y
_atom_site_fract_z
Nd1 0.000 0.000 0.000
Nd2 0.009 0.500 0.566
Nd3 0.494 0.000 0.072
Nd4 0.510 0.500 0.493
Zn1 0.314 0.000 0.707
Zn2 0.703 0.500 0.863
Zn3 0.804 0.000 0.364
Au1 0.215 0.500 0.194
Au2 0.223 0.000 0.389
Au3 0.294 0.500 0.855
Au4 0.726 0.000 0.695
Au5 0.778 0.500 0.194
```

4.
An optimized crystal structure of AlC3N3. Source: the Materials Project database, functional PBE-GGA.

Properties
ΔE_f = -0.97 eV/f.u.
ρ = 1.22 Mg/m³
uncorrected energy = -8.047 eV/atom

CIF file:
```
data_AlC3N3
_symmetry_space_group_name_H-M 'R 3 m'
_symmetry_Int_Tables_number 160
_symmetry_space_group_name_Hall 'R 3 -2"'
_cell_length_a 7.3858
_cell_length_b 7.3858
_cell_length_c 9.0551
_cell_angle_alpha 90.00
_cell_angle_beta 90.00
_cell_angle_gamma 120.00
loop_
_atom_site_label
_atom_site_fract_x
_atom_site_fract_y
_atom_site_fract_z
Al1 0.0000 0.0000 0.0000
C1 0.2013 0.4026 0.8014
N1 0.0797 0.5398 0.5426
```